Record 1
The following is a PBE calculation of crystalline Ce2Sm2O7 at its relaxed geometry, from Materials Project.

## Properties
E: -8.466 eV per atom
total magnetic moment: 0.00 μB/f.u.
space group: No. 227
DFT formation energy: -3.817 eV/atom

Unit cell a=7.8072 b=7.8072 c=7.8072 alpha=60.00 beta=60.00 gamma=60.00
Element x y z (fractional)
Ce  0.0000  0.0000  0.0000
Ce  0.0000  0.0000  0.5000
Ce  0.0000  0.5000  0.0000
Ce  0.5000  0.0000  0.0000
Sm  0.0000  0.5000  0.5000
Sm  0.5000  0.0000  0.5000
Sm  0.5000  0.5000  0.0000
Sm  0.5000  0.5000  0.5000
O  0.0994  0.0994  0.6506
O  0.0994  0.6506  0.0994
O  0.0994  0.6506  0.6506
O  0.3494  0.3494  0.9006
O  0.3494  0.9006  0.3494
O  0.3494  0.9006  0.9006
O  0.3750  0.3750  0.3750
O  0.6250  0.6250  0.6250
O  0.6506  0.0994  0.0994
O  0.6506  0.0994  0.6506
O  0.6506  0.6506  0.0994
O  0.9006  0.3494  0.3494
O  0.9006  0.3494  0.9006
O  0.9006  0.9006  0.3494

***

Record 2
The following is a PBE calculation of crystalline Li10Ti11Nb6O42 at its relaxed geometry, from Materials Project.

## Properties
E: -8.123 eV per atom
total magnetic moment: 0.00 μB/f.u.
space group: No. 143
DFT formation energy: -3.116 eV/atom

Unit cell a=5.1776 b=5.1776 c=33.0067 alpha=90.00 beta=90.00 gamma=120.00
Element x y z (fractional)
Li  0.0000  0.0000  0.0000
Li  0.0000  0.0000  0.1086
Li  0.0000  0.0000  0.6076
Li  0.0000  0.0000  0.7934
Li  0.3333  0.6667  0.2462
Li  0.3333  0.6667  0.7471
Li  0.3333  0.6667  0.9274
Li  0.6667  0.3333  0.1802
Li  0.6667  0.3333  0.6808
Li  0.6667  0.3333  0.8577
Ti  0.3333  0.6667  0.0433
Ti  0.3333  0.6667  0.1348
Ti  0.3333  0.6667  0.3315
Ti  0.3333  0.6667  0.4224
Ti  0.3333  0.6667  0.5438
Ti  0.3333  0.6667  0.6350
Ti  0.6667  0.3333  0.0636
Ti  0.6667  0.3333  0.4787
Ti  0.6667  0.3333  0.5642
Ti  0.6667  0.3333  0.7684
Ti  0.6667  0.3333  0.9736
Nb  0.0000  0.0000  0.2002
Nb  0.0000  0.0000  0.4047
Nb  0.0000  0.0000  0.6997
Nb  0.0000  0.0000  0.9088
Nb  0.3333  0.6667  0.8372
Nb  0.6667  0.3333  0.2716
O  0.0108  0.6224  0.3024
O  0.0221  0.3899  0.0870
O  0.0225  0.6318  0.5872
O  0.0363  0.3292  0.6603
O  0.0388  0.7105  0.1604
O  0.0414  0.7018  0.8746
O  0.0760  0.3579  0.3787
O  0.2819  0.9240  0.3787
O  0.2895  0.3283  0.1604
O  0.2929  0.9637  0.6603
O  0.2982  0.3397  0.8746
O  0.3295  0.0382  0.9457
O  0.3384  0.3315  0.4450
O  0.3391  0.2914  0.7322
O  0.3443  0.0437  0.2311
O  0.3682  0.3907  0.5872
O  0.3679  0.9779  0.0870
O  0.3776  0.3884  0.3024
O  0.3814  0.0034  0.8023
O  0.3913  0.3696  0.0180
O  0.4176  0.0223  0.5172
O  0.6046  0.5824  0.5172
O  0.6093  0.9775  0.5872
O  0.6101  0.6321  0.0870
O  0.6116  0.9892  0.3024
O  0.6220  0.6186  0.8023
O  0.6304  0.0216  0.0180
O  0.6421  0.7181  0.3787
O  0.6603  0.9586  0.8746
O  0.6685  0.0069  0.4450
O  0.6708  0.7071  0.6603
O  0.6717  0.9612  0.1604
O  0.6994  0.6557  0.2311
O  0.7086  0.0477  0.7322
O  0.7087  0.6705  0.9457
O  0.9523  0.6609  0.7322
O  0.9563  0.3006  0.2311
O  0.9618  0.2913  0.9457
O  0.9777  0.3954  0.5172
O  0.9784  0.6087  0.0180
O  0.9931  0.6616  0.4450
O  0.9966  0.3780  0.8023

***

Record 3
The following is a PBE calculation of crystalline Rb5Li6B11O22 at its relaxed geometry, from Materials Project.

## Properties
E: -6.862 eV per atom
total magnetic moment: 0.00 μB/f.u.
space group: No. 5
DFT formation energy: -2.690 eV/atom

Unit cell a=6.9109 b=6.9109 c=13.9092 alpha=104.51 beta=104.51 gamma=62.92
Element x y z (fractional)
Rb  0.0000  0.0000  0.0000
Rb  0.1464  0.4477  0.5883
Rb  0.3245  0.0286  0.7871
Rb  0.5523  0.8536  0.4117
Rb  0.9714  0.6755  0.2129
Li  0.1085  0.4770  0.9542
Li  0.4459  0.3935  0.4045
Li  0.4511  0.0952  0.2320
Li  0.5230  0.8915  0.0458
Li  0.6065  0.5541  0.5955
Li  0.9048  0.5489  0.7680
B  0.0666  0.2463  0.3160
B  0.1502  0.8498  0.5000
B  0.3748  0.5306  0.8358
B  0.4190  0.2895  0.0747
B  0.4694  0.6252  0.1642
B  0.7055  0.2682  0.2349
B  0.7105  0.5810  0.9253
B  0.7318  0.2945  0.7651
B  0.7537  0.9334  0.6840
B  0.8517  0.1368  0.5906
B  0.8632  0.1483  0.4094
O  0.0027  0.9077  0.4107
O  0.0084  0.2523  0.4065
O  0.0923  0.9973  0.5893
O  0.1787  0.5433  0.8409
O  0.2431  0.2817  0.3165
O  0.3111  0.1904  0.0019
O  0.3377  0.6623  0.5000
O  0.3538  0.5192  0.0857
O  0.4567  0.8213  0.1591
O  0.4808  0.6462  0.9143
O  0.4864  0.4130  0.7544
O  0.5870  0.5136  0.2456
O  0.5957  0.1677  0.1418
O  0.6899  0.1836  0.3189
O  0.7183  0.7569  0.6835
O  0.7477  0.9916  0.5935
O  0.7517  0.2483  0.5000
O  0.7948  0.0659  0.7745
O  0.8096  0.6889  0.9981
O  0.8164  0.3101  0.6811
O  0.8323  0.4043  0.8582
O  0.9341  0.2052  0.2255

***

Record 4
The following is a PBE calculation of crystalline Sr4Ta2O9 at its relaxed geometry, from Materials Project.

## Properties
E: -7.943 eV per atom
relative energy among the computed polymorphs: 0.072 eV per atom
total magnetic moment: 0.00 μB/f.u.
space group: No. 60
DFT formation energy: -3.355 eV/atom

Unit cell a=10.3581 b=5.9806 c=15.3060 alpha=90.00 beta=90.00 gamma=90.00
Element x y z (fractional)
Sr  0.1642  0.0148  0.0159
Sr  0.1642  0.9852  0.5159
Sr  0.1646  0.0068  0.2904
Sr  0.1646  0.9932  0.7904
Sr  0.3354  0.4932  0.7904
Sr  0.3354  0.5068  0.2904
Sr  0.3358  0.4852  0.5159
Sr  0.3358  0.5148  0.0159
Sr  0.6642  0.4852  0.9841
Sr  0.6642  0.5148  0.4841
Sr  0.6646  0.4932  0.7096
Sr  0.6646  0.5068  0.2096
Sr  0.8354  0.0068  0.2096
Sr  0.8354  0.9932  0.7096
Sr  0.8358  0.0148  0.4841
Sr  0.8358  0.9852  0.9841
Ta  0.0010  0.4956  0.6496
Ta  0.0010  0.5044  0.1496
Ta  0.4990  0.0044  0.1496
Ta  0.4990  0.9956  0.6496
Ta  0.5010  0.0044  0.3504
Ta  0.5010  0.9956  0.8504
Ta  0.9990  0.4956  0.8504
Ta  0.9990  0.5044  0.3504
O  0.0000  0.2495  0.7500
O  0.0000  0.7505  0.2500
O  0.0135  0.2097  0.4037
O  0.0135  0.7903  0.9037
O  0.1241  0.3824  0.2463
O  0.1241  0.6176  0.7463
O  0.1401  0.3532  0.5896
O  0.1401  0.6468  0.0896
O  0.1518  0.3417  0.8997
O  0.1518  0.6583  0.3997
O  0.3482  0.1583  0.3997
O  0.3482  0.8417  0.8997
O  0.3599  0.1468  0.0896
O  0.3599  0.8532  0.5896
O  0.3759  0.1176  0.7463
O  0.3759  0.8824  0.2463
O  0.4865  0.2903  0.9037
O  0.4865  0.7097  0.4037
O  0.5000  0.2505  0.2500
O  0.5000  0.7495  0.7500
O  0.5135  0.2903  0.5963
O  0.5135  0.7097  0.0963
O  0.6241  0.1176  0.7537
O  0.6241  0.8824  0.2537
O  0.6401  0.1468  0.4104
O  0.6401  0.8532  0.9104
O  0.6518  0.1583  0.1003
O  0.6518  0.8417  0.6003
O  0.8482  0.3417  0.6003
O  0.8482  0.6583  0.1003
O  0.8599  0.3532  0.9104
O  0.8599  0.6468  0.4104
O  0.8759  0.3824  0.2537
O  0.8759  0.6176  0.7537
O  0.9865  0.2097  0.0963
O  0.9865  0.7903  0.5963

***

Record 5
The following is a PBE calculation of crystalline Eu2HfTiO6 at its relaxed geometry, from Materials Project.

## Properties
E: -10.022 eV per atom
total magnetic moment: 13.95 μB/f.u.
space group: No. 225
DFT formation energy: -3.628 eV/atom

Unit cell a=5.7151 b=5.7151 c=5.7151 alpha=60.00 beta=60.00 gamma=60.00
Element x y z (fractional)
Eu  0.2500  0.2500  0.2500
Eu  0.7500  0.7500  0.7500
Hf  0.0000  0.0000  0.0000
Ti  0.5000  0.5000  0.5000
O  0.2549  0.2549  0.7451
O  0.2549  0.7451  0.2549
O  0.2549  0.7451  0.7451
O  0.7451  0.2549  0.2549
O  0.7451  0.2549  0.7451
O  0.7451  0.7451  0.2549

***

Record 6
The following is a PBE calculation of crystalline CaGeO3 at its relaxed geometry, from Materials Project.

## Properties
E: -6.618 eV per atom
total magnetic moment: 0.00 μB/f.u.
space group: No. 88
DFT formation energy: -2.736 eV/atom

Unit cell a=10.9325 b=10.9325 c=10.9325 alpha=109.14 beta=109.14 gamma=110.14
Element x y z (fractional)
Ca  0.0000  0.0000  0.0000
Ca  0.1271  0.8771  0.2500
Ca  0.1282  0.7567  0.8795
Ca  0.2513  0.3718  0.1285
Ca  0.2567  0.8772  0.6285
Ca  0.3772  0.2487  0.6205
Ca  0.3771  0.6271  0.7500
Ca  0.5000  0.0000  0.0000
Ca  0.5000  0.0000  0.5000
Ca  0.5000  0.5000  0.5000
Ca  0.6229  0.3729  0.2500
Ca  0.6228  0.7513  0.3795
Ca  0.7433  0.1228  0.3715
Ca  0.7487  0.6282  0.8715
Ca  0.8718  0.2433  0.1205
Ca  0.8729  0.1229  0.7500
Ge  0.0000  0.0000  0.5000
Ge  0.0000  0.5000  0.0000
Ge  0.0000  0.5000  0.5000
Ge  0.1171  0.2584  0.3885
Ge  0.1250  0.3750  0.7500
Ge  0.2286  0.6171  0.3587
Ge  0.2416  0.1302  0.8587
Ge  0.3698  0.7286  0.1115
Ge  0.3750  0.1250  0.2500
Ge  0.5000  0.5000  0.0000
Ge  0.6250  0.8750  0.7500
Ge  0.6302  0.2714  0.8885
Ge  0.7584  0.8698  0.1413
Ge  0.7714  0.3829  0.6413
Ge  0.8750  0.6250  0.2500
Ge  0.8829  0.7416  0.6115
O  0.0071  0.8186  0.3934
O  0.0310  0.6962  0.6139
O  0.0748  0.3863  0.8934
O  0.0828  0.4690  0.1652
O  0.0878  0.2212  0.2099
O  0.0982  0.0965  0.4148
O  0.1048  0.1407  0.9043
O  0.1137  0.5071  0.6885
O  0.1817  0.6834  0.0852
O  0.1834  0.5982  0.5017
O  0.1962  0.0823  0.6652
O  0.1993  0.9657  0.0995
O  0.2636  0.7995  0.4043
O  0.2788  0.9886  0.8666
O  0.2995  0.3952  0.5359
O  0.3186  0.4252  0.8115
O  0.3593  0.7636  0.9641
O  0.3662  0.0998  0.4005
O  0.3780  0.5878  0.3666
O  0.4002  0.3007  0.2664
O  0.4035  0.3183  0.0017
O  0.4177  0.5828  0.1139
O  0.4657  0.8662  0.7664
O  0.4886  0.1220  0.7099
O  0.5114  0.8780  0.2901
O  0.5343  0.1338  0.2336
O  0.5823  0.4172  0.8861
O  0.5965  0.6817  0.9983
O  0.5998  0.6993  0.7336
O  0.6220  0.4122  0.6334
O  0.6338  0.9002  0.5995
O  0.6407  0.2364  0.0359
O  0.6814  0.5748  0.1885
O  0.7005  0.6048  0.4641
O  0.7212  0.0114  0.1334
O  0.7364  0.2005  0.5957
O  0.8007  0.0343  0.9005
O  0.8038  0.9177  0.3348
O  0.8166  0.4018  0.4983
O  0.8183  0.3166  0.9148
O  0.8863  0.4929  0.3115
O  0.8952  0.8593  0.0957
O  0.9018  0.9035  0.5852
O  0.9122  0.7788  0.7901
O  0.9172  0.5310  0.8348
O  0.9252  0.6137  0.1066
O  0.9690  0.3038  0.3861
O  0.9929  0.1814  0.6066

***

Record 7
The following is a PBE calculation of crystalline KLiS at its relaxed geometry, from Materials Project.

## Properties
E: -3.558 eV per atom
total magnetic moment: 0.00 μB/f.u.
space group: No. 194
DFT formation energy: -1.340 eV/atom

Unit cell a=4.2159 b=4.2159 c=9.0686 alpha=90.00 beta=90.00 gamma=120.00
Element x y z (fractional)
K  0.0000  0.0000  0.0000
K  0.0000  0.0000  0.5000
Li  0.3333  0.6667  0.2500
Li  0.6667  0.3333  0.7500
S  0.3333  0.6667  0.7500
S  0.6667  0.3333  0.2500

***

Record 8
The following is a PBE calculation of crystalline Ba2Eu3Si7 at its relaxed geometry, from Materials Project.

## Properties
E: -6.560 eV per atom
space group: No. 189
DFT formation energy: -0.470 eV/atom

Unit cell a=9.3248 b=9.3248 c=4.1334 alpha=90.00 beta=90.00 gamma=120.00
Element x y z (fractional)
Ba  0.3333  0.6667  0.0000
Ba  0.6667  0.3333  0.0000
Eu  0.0000  0.7484  0.5000
Eu  0.2516  0.2516  0.5000
Eu  0.7484  0.0000  0.5000
Si  0.0000  0.0000  0.0000
Si  0.0000  0.2579  0.0000
Si  0.0000  0.3997  0.5000
Si  0.2579  0.0000  0.0000
Si  0.3997  0.0000  0.5000
Si  0.6003  0.6003  0.5000
Si  0.7421  0.7421  0.0000

***

Please write out number 3 again, unchanged.
The following is a PBE calculation of crystalline Rb5Li6B11O22 at its relaxed geometry, from Materials Project.

## Properties
E: -6.862 eV per atom
total magnetic moment: 0.00 μB/f.u.
space group: No. 5
DFT formation energy: -2.690 eV/atom

Unit cell a=6.9109 b=6.9109 c=13.9092 alpha=104.51 beta=104.51 gamma=62.92
Element x y z (fractional)
Rb  0.0000  0.0000  0.0000
Rb  0.1464  0.4477  0.5883
Rb  0.3245  0.0286  0.7871
Rb  0.5523  0.8536  0.4117
Rb  0.9714  0.6755  0.2129
Li  0.1085  0.4770  0.9542
Li  0.4459  0.3935  0.4045
Li  0.4511  0.0952  0.2320
Li  0.5230  0.8915  0.0458
Li  0.6065  0.5541  0.5955
Li  0.9048  0.5489  0.7680
B  0.0666  0.2463  0.3160
B  0.1502  0.8498  0.5000
B  0.3748  0.5306  0.8358
B  0.4190  0.2895  0.0747
B  0.4694  0.6252  0.1642
B  0.7055  0.2682  0.2349
B  0.7105  0.5810  0.9253
B  0.7318  0.2945  0.7651
B  0.7537  0.9334  0.6840
B  0.8517  0.1368  0.5906
B  0.8632  0.1483  0.4094
O  0.0027  0.9077  0.4107
O  0.0084  0.2523  0.4065
O  0.0923  0.9973  0.5893
O  0.1787  0.5433  0.8409
O  0.2431  0.2817  0.3165
O  0.3111  0.1904  0.0019
O  0.3377  0.6623  0.5000
O  0.3538  0.5192  0.0857
O  0.4567  0.8213  0.1591
O  0.4808  0.6462  0.9143
O  0.4864  0.4130  0.7544
O  0.5870  0.5136  0.2456
O  0.5957  0.1677  0.1418
O  0.6899  0.1836  0.3189
O  0.7183  0.7569  0.6835
O  0.7477  0.9916  0.5935
O  0.7517  0.2483  0.5000
O  0.7948  0.0659  0.7745
O  0.8096  0.6889  0.9981
O  0.8164  0.3101  0.6811
O  0.8323  0.4043  0.8582
O  0.9341  0.2052  0.2255

***

Number 5 is which compound?
Eu2HfTiO6

***

What is the DFT formation energy in the second record?
-3.116 eV/atom